A geometry-optimized Eu2GeS4 structure, computed with meta-GGA r2SCAN.

Cell: 6.652 6.795 8.032 Å, 90.00 107.97 90.00°
Space group P2_1 (No. 4)
Asymmetric unit:
Eu  0.216  0.000  0.052 (multiplicity 2)
Eu  0.260  0.990  0.565 (multiplicity 2)
Ge  0.235  0.531  0.804 (multiplicity 2)
S  0.011  0.265  0.264 (multiplicity 2)
S  0.031  0.265  0.749 (multiplicity 2)
S  0.415  0.577  0.082 (multiplicity 2)
S  0.430  0.564  0.626 (multiplicity 2)

Results
* ΔH_f (0 K): -1.590 eV per atom
* E_tot: -19.17 eV/atom
* excess energy over the best structure of this formula in the dataset: 0 meV per atom
* M_tot: 2.00 μB per atom


A geometry-optimized Ca2Mg structure, computed with meta-GGA r2SCAN.

Cell: 10.659 6.609 6.923 Å, 90.00 119.92 90.00°
Space group C2/c (No. 15)
Asymmetric unit:
Ca  0.168  0.125  0.219 (multiplicity 8)
Mg  0.000  0.421  0.750 (multiplicity 4)

Results
* ΔH_f (0 K): 0.019 eV per atom
* E_tot: -6.06 eV/atom
* M_tot: 0.00 μB per atom


A geometry-optimized Ni structure, computed with meta-GGA r2SCAN.

Cell: 2.767 2.767 2.767 Å, 90.00 90.00 90.00°
Space group Im-3m (No. 229)
Asymmetric unit:
Ni  0.000  0.000  0.000 (multiplicity 2)

Results
* ΔH_f (0 K): 0.119 eV per atom
* E_tot: -11.86 eV/atom
* excess energy over the best structure of this formula in the dataset: 119 meV per atom
* M_tot: 0.66 μB per atom


A geometry-optimized SmZnPd structure, computed with meta-GGA r2SCAN.

Cell: 7.3332 7.3332 3.9214 Å, 90.00 90.00 120.00°
Space group P-62m (No. 189)
Asymmetric unit:
Sm  0.0000  0.4069  0.0000 (multiplicity 3)
Zn  0.0000  0.7559  0.5000 (multiplicity 3)
Pd  0.0000  0.0000  0.0000 (multiplicity 1)
Pd  0.3333  0.6667  0.5000 (multiplicity 2)

Results
* ΔH_f (0 K): -0.735 eV per atom
* E_tot: -21.27 eV/atom
* M_tot: 0.00 μB per atom


A geometry-optimized NaCu6O8 structure, computed with meta-GGA r2SCAN.

Cell: 9.034 9.034 9.034 Å, 90.00 90.00 90.00°
Space group Fm-3m (No. 225)
Asymmetric unit:
Na  0.000  0.000  0.000 (multiplicity 4)
Cu  0.000  0.250  0.250 (multiplicity 24)
O  0.145  0.145  0.145 (multiplicity 32)

Results
* ΔH_f (0 K): -0.779 eV per atom
* E_tot: -8.54 eV/atom
* M_tot: 0.20 μB per atom


A geometry-optimized MgZnAu2 structure, computed with meta-GGA r2SCAN.

Cell: 6.408 6.408 6.408 Å, 90.00 90.00 90.00°
Space group Fm-3m (No. 225)
Asymmetric unit:
Mg  0.000  0.000  0.000 (multiplicity 4)
Zn  0.000  0.000  0.500 (multiplicity 4)
Au  0.250  0.250  0.250 (multiplicity 8)

Results
* ΔH_f (0 K): -0.433 eV per atom
* E_tot: -29.00 eV/atom
* M_tot: 0.00 μB per atom